Compound: LiEr2S2O8F3
Source: the Materials Project
Functional: PBE
Structure: relaxed

```
LiEr2S2O8F3
1.0
14.802 0.000 0.000
0.000 6.406 0.000
0.000 0.000 8.173
Li Er S O F
4 8 8 32 12
Direct
0.000 0.130 0.250 Li
0.000 0.870 0.750 Li
0.500 0.370 0.750 Li
0.500 0.630 0.250 Li
0.101 0.392 0.634 Er
0.101 0.608 0.134 Er
0.399 0.108 0.134 Er
0.399 0.892 0.634 Er
0.601 0.108 0.366 Er
0.601 0.892 0.866 Er
0.899 0.392 0.866 Er
0.899 0.608 0.366 Er
0.165 0.107 0.995 S
0.165 0.893 0.495 S
0.335 0.393 0.495 S
0.335 0.607 0.995 S
0.665 0.393 0.005 S
0.665 0.607 0.505 S
0.835 0.107 0.505 S
0.835 0.893 0.005 S
0.110 0.242 0.109 O
0.110 0.758 0.609 O
0.114 0.093 0.475 O
0.114 0.907 0.975 O
0.176 0.211 0.835 O
0.176 0.789 0.335 O
0.246 0.436 0.565 O
0.246 0.564 0.065 O
0.254 0.064 0.065 O
0.254 0.936 0.565 O
0.324 0.289 0.335 O
0.324 0.711 0.835 O
0.386 0.407 0.975 O
0.386 0.593 0.475 O
0.390 0.258 0.609 O
0.390 0.742 0.109 O
0.610 0.258 0.891 O
0.610 0.742 0.391 O
0.614 0.407 0.525 O
0.614 0.593 0.025 O
0.676 0.289 0.165 O
0.676 0.711 0.665 O
0.746 0.064 0.435 O
0.746 0.936 0.935 O
0.754 0.436 0.935 O
0.754 0.564 0.435 O
0.824 0.211 0.665 O
0.824 0.789 0.165 O
0.886 0.093 0.025 O
0.886 0.907 0.525 O
0.890 0.242 0.391 O
0.890 0.758 0.891 O
0.000 0.176 0.750 F
0.000 0.824 0.250 F
0.051 0.464 0.375 F
0.051 0.536 0.875 F
0.449 0.036 0.875 F
0.449 0.964 0.375 F
0.500 0.324 0.250 F
0.500 0.676 0.750 F
0.551 0.036 0.625 F
0.551 0.964 0.125 F
0.949 0.464 0.125 F
0.949 0.536 0.625 F
```

Calculated values
The value obtained for the size of the total moment is 0.000 μB per atom. Its space-group type is Pbcn. The calculation puts the total energy at -6.6377 eV/atom.